Density functional theory data (PBE) for crystalline CeGaNi at its relaxed geometry.

space-group type	P-62m
V	18.3	A^3/atom
E_tot	-5.528	eV/atom
energy relative to the elements	-0.6139	eV/atom

Cell lengths 6.8944, 6.8944, 3.9953 Å; angles 90.00, 90.00, 120.00 degrees
Element x y z (fractional)
Ce 0.0000 0.5791 0.0000
Ce 0.4209 0.4209 0.0000
Ce 0.5791 0.0000 0.0000
Ga 0.0000 0.2375 0.5000
Ga 0.2375 0.0000 0.5000
Ga 0.7625 0.7625 0.5000
Ni 0.0000 0.0000 0.0000
Ni 0.3333 0.6667 0.5000
Ni 0.6667 0.3333 0.5000